[1]
Eu2InPt2 | GGA-PBE | optimized geometry

```
data_Eu2InPt2
_chemical_formula_sum 'Eu8 In4 Pt8'
_symmetry_space_group_name_H-M 'C 1 2/c 1'
_symmetry_Int_Tables_number 15
_cell_length_a 10.245
_cell_length_b 5.880
_cell_length_c 8.404
_cell_angle_alpha 90.00
_cell_angle_beta 104.19
_cell_angle_gamma 90.00
loop_
_symmetry_equiv_pos_as_xyz
'x,y,z'
'-x,-y,-z'
'-x,y,-z+1/2'
'x,-y,z+1/2'
'x+1/2,y+1/2,z'
'-x+1/2,-y+1/2,-z'
'-x+1/2,y+1/2,-z+1/2'
'x+1/2,-y+1/2,z+1/2'
loop_
_atom_site_label
_atom_site_fract_x
_atom_site_fract_y
_atom_site_fract_z
Eu1 0.148 0.144 0.148
In1 0.000 0.354 0.750
Pt1 0.137 0.363 0.503
```

***

[2]
# Ba8Dy3Pt4O18 | the Materials Project database | GGA-PBE | optimized geometry
# Corrected total energy (MP2020 scheme) = -6.974 eV/atom
data_Ba8Dy3Pt4O18
_chemical_formula_sum 'Ba8 Dy3 Pt4 O18'
_symmetry_space_group_name_H-M 'P m -3 m'
_symmetry_Int_Tables_number 221
_symmetry_space_group_name_Hall '-P 4 2 3'
_cell_length_a 8.489
_cell_length_b 8.489
_cell_length_c 8.489
_cell_angle_alpha 90.00
_cell_angle_beta 90.00
_cell_angle_gamma 90.00
loop_
_atom_site_label
_atom_site_fract_x
_atom_site_fract_y
_atom_site_fract_z
Ba1 0.236 0.236 0.236
Dy1 0.000 0.000 0.500
Pt1 0.000 0.000 0.000
Pt2 0.000 0.500 0.500
O1 0.000 0.000 0.239
O2 0.000 0.262 0.500

***

It is found that the formation energy values, taken in the order of the records, are -894 -2655 meV/atom.